Record 1
Computed, not measured: an optimized crystal structure of Cr2AgS4 at the GGA-PBE level of DFT.

Computed properties:
MP2020-corrected energy = -6.2952 eV per atom
energy of formation from the pure elements = -74 kJ/mol of atoms
energy = -6.008 eV/atom

Cell and atoms, written as CIF:
```
data_Cr2AgS4
_space_group_name_H-M_alt 'P 1'
_space_group_IT_number 1
_cell_length_a 5.912
_cell_length_b 6.886
_cell_length_c 13.147
_cell_angle_alpha 90.00
_cell_angle_beta 90.00
_cell_angle_gamma 90.00
loop_
_space_group_symop_operation_xyz
'x,y,z'
loop_
_atom_site_label
_atom_site_fract_x
_atom_site_fract_y
_atom_site_fract_z
S1 0.167 0.249 0.853
S2 0.341 0.500 0.649
S3 0.659 0.000 0.851
S4 0.833 0.251 0.647
S5 0.341 0.500 0.351
S6 0.326 0.000 0.652
S7 0.674 0.500 0.152
Ag1 0.649 0.500 0.500
Cr1 0.007 0.500 0.745
S8 0.167 0.249 0.147
Cr2 0.993 0.000 0.755
S9 0.167 0.751 0.853
Cr3 0.500 0.750 0.750
S10 0.674 0.500 0.848
S11 0.833 0.749 0.353
Cr4 0.500 0.250 0.250
S12 0.833 0.749 0.647
Cr5 0.993 0.000 0.245
S13 0.167 0.751 0.147
S14 0.833 0.251 0.353
Ag2 0.036 0.000 0.500
S15 0.326 0.000 0.348
Cr6 0.007 0.500 0.255
Ag3 0.964 0.500 0.000
S16 0.659 0.000 0.149
Ag4 0.351 0.000 0.000
Cr7 0.500 0.750 0.250
Cr8 0.500 0.250 0.750
```

---

Record 2
Computed, not measured: an optimized crystal structure of Cr2AgS4 at the GGA-PBE level of DFT.

Computed properties:
MP2020-corrected energy = -6.1814 eV per atom
energy of formation from the pure elements = -63 kJ/mol of atoms
energy = -5.894 eV/atom

Cell and atoms, written as CIF:
```
data_Cr2AgS4
_space_group_name_H-M_alt 'P 1'
_space_group_IT_number 1
_cell_length_a 6.428
_cell_length_b 7.555
_cell_length_c 12.458
_cell_angle_alpha 82.06
_cell_angle_beta 84.95
_cell_angle_gamma 89.95
loop_
_space_group_symop_operation_xyz
'x,y,z'
loop_
_atom_site_label
_atom_site_fract_x
_atom_site_fract_y
_atom_site_fract_z
Cr1 0.847 0.296 0.289
S1 0.876 0.324 0.113
S2 0.624 0.382 0.889
Cr2 0.359 0.552 0.288
Cr3 0.641 0.448 0.712
Ag1 0.751 0.625 0.999
S3 0.243 0.788 0.363
S4 0.088 0.136 0.905
Cr4 0.377 0.057 0.290
S5 0.585 0.921 0.892
Cr5 0.756 0.112 0.001
Ag2 0.249 0.375 0.001
S6 0.682 0.048 0.363
Cr6 0.244 0.888 0.999
S7 0.415 0.079 0.108
S8 0.177 0.289 0.345
Cr7 0.153 0.704 0.711
S9 0.757 0.212 0.637
S10 0.124 0.676 0.887
S11 0.823 0.711 0.655
S12 0.669 0.513 0.355
Cr8 0.623 0.943 0.710
S13 0.331 0.487 0.645
S14 0.318 0.952 0.637
Ag3 0.888 0.790 0.300
S15 0.376 0.618 0.111
S16 0.912 0.864 0.095
Ag4 0.112 0.210 0.700
```

---

Record 3
Computed, not measured: an optimized crystal structure of CrAgS2 at the GGA-PBE level of DFT.

Computed properties:
MP2020-corrected energy = -5.9193 eV per atom
energy of formation from the pure elements = -70 kJ/mol of atoms
energy = -5.668 eV/atom

Cell and atoms, written as CIF:
```
data_CrAgS2
_space_group_name_H-M_alt 'P 1'
_space_group_IT_number 1
_cell_length_a 3.540
_cell_length_b 10.612
_cell_length_c 7.948
_cell_angle_alpha 79.73
_cell_angle_beta 90.09
_cell_angle_gamma 90.07
loop_
_space_group_symop_operation_xyz
'x,y,z'
loop_
_atom_site_label
_atom_site_fract_x
_atom_site_fract_y
_atom_site_fract_z
Ag1 0.000 0.654 0.805
S1 0.000 0.731 0.460
S2 0.500 0.984 0.217
Ag2 0.499 0.904 0.560
S3 0.501 0.484 0.717
S4 0.998 0.270 0.542
Cr1 0.000 0.497 0.503
S5 0.998 0.770 0.042
S6 0.499 0.523 0.297
S7 0.499 0.023 0.797
S8 0.000 0.231 0.960
Cr2 0.499 0.753 0.246
Ag3 0.499 0.404 0.060
Cr3 0.000 0.997 0.003
Ag4 0.000 0.154 0.305
Cr4 0.499 0.253 0.746
```